4
Lattice="-0.884 2.343 -0.012 2.437 -0.421 -0.395 -1.372 -0.559 -7.862" Properties=species:S:1:pos:R:3 comment="CrCo3 (PBE, relaxed)" total_energy_ev_per_atom=-7.660 formation_energy_ev_per_atom=0.08 de_polymorph_kcal_per_mol_atoms=1.38 pbc="T T T"
Cr -0.292 1.212 -3.088
Co -0.978 0.933 -7.019
Co 1.157 0.430 -1.256
Co 0.473 0.152 -5.176